The following is a PBE with a Hubbard U calculation of a relaxed Na3MnBSO7 crystal, from the Materials Project database.

Geometry as POSCAR:
```
Na3MnBSO7
1.0
0.0194 -0.0001 5.3201
9.1200 0.0001 0.0584
0.0001 13.9007 -0.0004
O S B Na Mn
28 4 4 12 4
Cartesian
3.0325 0.5361 4.1719
1.2481 12.1631 5.1602
7.6933 1.7376 2.5811
6.1069 4.0116 1.2061
1.4464 5.2126 2.7974
7.8916 8.6879 0.2177
3.0328 7.4864 4.1713
6.1070 6.4140 1.2065
5.0737 12.1630 3.0701
5.1536 8.6877 4.4884
3.9861 12.1633 0.8896
0.7897 1.7376 1.5287
3.9861 5.2128 0.8890
7.8906 1.7377 0.2185
3.0324 2.9386 4.1723
5.0733 5.2125 3.0698
8.3498 12.1631 3.8490
7.6927 8.6879 2.5797
3.0324 9.8888 4.1720
4.0659 1.7377 2.3085
6.1069 13.3645 1.2067
6.1072 10.9622 1.2060
5.1534 1.7375 4.4890
0.7899 8.6879 1.5288
1.2485 5.2126 5.1596
8.3494 5.2126 3.8493
1.4468 12.1631 2.7980
4.0661 8.6880 2.3079
3.8317 8.6879 3.7929
5.3077 5.2129 1.5848
3.8315 1.7374 3.7936
5.3079 12.1631 1.5852
0.5888 5.2126 3.9187
8.5506 8.6880 1.4590
8.5504 1.7377 1.4595
0.5890 12.1631 3.9190
7.0205 3.4095 4.0676
2.1189 6.8849 1.3109
8.5510 5.2127 1.4083
8.5510 12.1630 1.4081
7.0212 10.3601 4.0666
7.0210 7.0157 4.0665
2.1190 3.5406 1.3110
2.1185 10.4908 1.3113
0.5884 1.7374 3.9701
7.0208 0.0655 4.0676
0.5887 8.6879 3.9700
2.1188 13.8353 1.3116
6.0341 1.7370 1.2873
3.1063 5.2124 4.0912
3.1051 12.1635 4.0925
6.0339 8.6875 1.2839
```

Electronic total energy, eV per atom: -6.248
Magnetic moment, μB per formula unit: 0.000
Energy of formation from the pure elements, eV per atom: -2.240

=====

The following is a PBE with a Hubbard U calculation of a relaxed CoCuP2O7 crystal, from the Materials Project database.

Geometry as POSCAR:
```
CoCuP2O7
1.0
-0.7782 4.2323 -1.6074
-2.8396 -2.9651 -3.4926
-3.2159 -0.0723 4.3043
O Co P Cu
7 1 2 1
Cartesian
-3.9646 1.2975 2.8848
-1.8850 -1.2123 -0.5166
-4.3516 -1.3861 -0.3004
-3.3070 -0.1500 -2.2959
-3.2354 3.5795 0.7517
-3.3160 0.8518 0.0440
-6.3098 1.3628 -0.3147
-1.7415 2.7677 -0.3030
-3.1917 -0.4243 -0.8111
-5.5279 -2.4517 -0.1988
-4.8524 1.5902 1.0544
```

Symmetry: P1 (1)
Electronic total energy, eV per atom: -6.693
Magnetic moment, μB per formula unit: 1.999
Energy of formation from the pure elements, eV per atom: -2.127

=====

The following is a PBE with a Hubbard U calculation of a relaxed Li4V3P8O29 crystal, from the Materials Project database.

Geometry as POSCAR:
```
Li4V3P8O29
1.0
-4.0386 -7.2596 5.0801
8.4080 3.9545 3.0041
-7.2257 9.4282 7.6939
O P V Li
58 16 6 8
Cartesian
-1.5670 1.6910 5.1215
-6.7519 5.7543 8.4253
0.0698 8.1726 7.3726
-2.2499 7.0053 6.5831
-2.6371 0.9088 2.9917
-3.5229 5.0940 12.1980
-0.5814 -0.7800 4.9343
3.8789 0.3871 7.3559
-0.1130 3.1550 2.5549
-5.3471 1.8313 10.3479
0.0409 11.8278 9.5361
-3.5711 3.5037 10.0513
1.8165 0.1403 5.9013
-0.4753 8.6773 10.5027
-9.7383 3.0802 11.2351
-1.2774 4.8375 4.0071
-5.1661 3.2481 12.7209
-3.1749 4.6855 6.2286
-0.6002 -0.8930 9.1943
-2.2937 6.9167 10.7670
-2.3942 -2.5412 5.2952
0.6879 2.6437 5.6821
0.9601 3.5918 11.2600
-4.6868 5.9220 9.9153
2.4567 2.8228 7.4997
-4.5502 6.4341 7.4391
-0.5486 -2.2980 6.9434
3.0086 -1.9331 6.8988
0.6855 0.9835 3.5625
-4.7722 -1.8637 6.6875
-3.4953 0.0154 5.1970
2.5349 4.2770 5.4251
-1.3076 4.4751 10.7205
-2.4930 5.4297 8.5512
2.5781 8.4825 6.8137
-5.8438 8.0045 8.9915
-3.6250 1.5027 8.4418
-2.8228 -5.6967 6.2388
0.4200 1.4015 9.6272
-0.0743 -3.2211 4.5618
-0.3157 0.7080 7.2674
-2.8649 -2.0582 8.3599
4.6813 3.9141 3.9429
2.3350 2.8667 3.0926
6.9332 3.0085 4.6798
0.6876 4.6305 7.2071
-2.8094 9.4075 11.1157
-8.6293 1.2648 9.8321
-7.7371 3.6360 9.7586
-7.4625 2.2100 11.8286
0.6663 6.0446 10.6097
1.8614 7.9820 9.1593
4.8449 2.4986 6.0216
-2.7077 2.9534 13.2242
1.7042 -0.3363 8.3659
-2.2618 8.4175 8.7957
-3.8742 2.4774 4.6088
-5.3492 3.3340 8.3056
5.5825 3.4978 5.1336
-2.0213 8.4077 10.3574
1.4844 8.6483 7.7901
-4.4321 2.4626 9.2285
0.0930 4.8081 11.3010
2.6413 -0.5138 7.0667
-3.0720 5.8432 7.1915
-5.4786 6.5785 8.7624
-3.9230 4.0080 13.2292
1.5893 3.6729 6.5121
-4.3021 -2.5366 8.0038
-0.8613 -2.2819 5.4014
-2.9580 1.3063 4.5235
0.2478 0.2762 8.6628
-8.4299 2.6090 10.6924
1.1023 2.0996 2.5454
-1.7111 8.7639 7.0641
-1.1000 -2.6628 8.6923
1.2183 7.8616 10.9763
-4.1066 -1.7339 4.8359
-2.9854 5.2149 10.4009
0.1600 0.8812 5.4651
-2.6790 -4.6659 4.6001
-2.9237 6.1999 15.3147
-0.1774 10.7312 11.1132
0.2584 -0.8940 2.7741
-4.6072 3.2798 6.2769
1.6914 2.8987 9.5540
-1.4160 3.8820 5.6529
0.3898 1.5635 11.6638
```

Symmetry: P1 (1)
Electronic total energy, eV per atom: -7.042
Magnetic moment, μB per formula unit: 1.000
Energy of formation from the pure elements, eV per atom: -2.573

=====

The following is a PBE with a Hubbard U calculation of a relaxed LiMn2S2O10 crystal, from the Materials Project database.

Geometry as POSCAR:
```
LiMn2S2O10
1.0
0.9205 -1.5770 -5.1172
3.9047 3.4560 -1.1462
6.0437 -1.1219 4.3833
O S Mn Li
10 2 2 1
Cartesian
2.1092 -0.6682 -3.7689
6.1300 -0.2328 1.1869
9.3336 0.5386 -1.0148
8.6445 1.4472 1.7314
5.5690 -1.2293 -1.6088
7.4922 0.7523 -2.4942
4.7566 0.9555 -3.0673
1.5370 0.0980 -0.8934
3.3757 0.0636 0.6783
5.4543 1.9561 -0.2096
1.9276 -0.1137 0.5103
8.9762 0.8481 -2.4245
4.3891 2.6529 -3.6749
4.9572 1.1525 1.5915
7.2764 -0.0714 -0.4530
```

Symmetry: P1 (1)
Electronic total energy, eV per atom: -6.415
Magnetic moment, μB per formula unit: 7.000
Energy of formation from the pure elements, eV per atom: -1.897

=====

The following is a PBE with a Hubbard U calculation of a relaxed NdMnPO crystal, from the Materials Project database.

Geometry as POSCAR:
```
NdMnPO
1.0
-1.2189 3.3367 -2.0562
-3.8552 -1.4090 -0.0011
-1.5339 4.1910 7.7104
Mn O Nd P
2 2 2 2
Cartesian
-2.6449 4.2458 2.3128
-3.9630 1.8730 3.3403
-1.8780 2.1503 -1.5424
-3.1961 -0.2225 -0.5149
-1.4676 1.0258 0.4862
-5.1404 5.0930 5.1669
-2.3012 3.3034 4.6765
-4.3068 2.8154 0.9766
```

Symmetry: P4/nmm (129)
Electronic total energy, eV per atom: -7.356
Magnetic moment, μB per formula unit: 4.884
Energy of formation from the pure elements, eV per atom: -1.872